An optimized crystal structure of Na2ScAlSiS2O12, computed with PBE.

Values from the calculation:
Its density is 2.69 g cm⁻³. The electronic total energy is -766.26 eV per cell.

The structure in POSCAR format:
```
Na2ScAlSiS2O12
1.0
8.745 0.000 0.000
4.363 7.615 0.000
0.129 0.270 22.339
Na Sc Al Si S O
12 6 6 6 12 72
Direct
0.000 0.000 0.000
0.000 0.375 0.498
0.299 0.033 0.415
0.303 0.033 0.920
0.322 0.709 0.842
0.323 0.337 0.341
0.648 0.361 0.250
0.653 0.359 0.751
0.933 0.392 0.171
0.937 0.046 0.674
0.976 0.708 0.085
0.981 0.683 0.582
0.266 0.050 0.268
0.274 0.052 0.772
0.295 0.058 0.560
0.618 0.378 0.599
0.634 0.367 0.902
0.959 0.702 0.731
0.295 0.009 0.067
0.618 0.365 0.101
0.637 0.372 0.397
0.950 0.719 0.233
0.973 0.692 0.433
0.984 0.699 0.938
0.336 0.383 0.491
0.340 0.660 0.001
0.946 0.429 0.333
0.954 0.997 0.835
0.987 0.036 0.163
0.993 0.342 0.663
0.247 0.703 0.333
0.249 0.415 0.837
0.300 0.327 0.164
0.301 0.745 0.667
0.586 0.746 0.165
0.587 0.037 0.667
0.621 0.074 0.004
0.632 0.663 0.494
0.678 0.705 0.838
0.684 0.989 0.335
0.916 0.071 0.496
0.929 0.375 0.003
0.069 0.091 0.220
0.090 0.211 0.720
0.096 0.050 0.499
0.104 0.250 0.601
0.109 0.220 0.010
0.116 0.007 0.105
0.130 0.234 0.328
0.134 0.554 0.488
0.136 0.687 0.996
0.136 0.734 0.669
0.137 0.502 0.169
0.140 0.499 0.891
0.140 0.731 0.388
0.141 0.004 0.834
0.160 0.679 0.280
0.169 0.518 0.782
0.272 0.856 0.328
0.273 0.237 0.834
0.274 0.233 0.114
0.282 0.855 0.614
0.310 0.207 0.495
0.311 0.862 0.009
0.322 0.821 0.723
0.331 0.227 0.222
0.423 0.403 0.553
0.423 0.541 0.337
0.424 0.404 0.841
0.443 0.586 0.938
0.448 0.527 0.056
0.454 0.567 0.664
0.456 0.349 0.157
0.461 0.061 0.015
0.462 0.356 0.433
0.470 0.834 0.500
0.481 0.826 0.220
0.489 0.050 0.721
0.500 0.859 0.112
0.502 0.866 0.835
0.505 0.008 0.331
0.505 0.016 0.612
0.591 0.180 0.949
0.605 0.197 0.663
0.609 0.567 0.159
0.611 0.572 0.442
0.650 0.551 0.841
0.661 0.169 0.339
0.663 0.158 0.054
0.672 0.553 0.549
0.766 0.726 0.170
0.769 0.884 0.668
0.773 0.714 0.891
0.773 0.882 0.389
0.775 0.401 0.342
0.776 0.682 0.782
0.780 0.898 0.997
0.786 0.193 0.840
0.787 0.910 0.280
0.788 0.689 0.487
0.795 0.220 0.152
0.805 0.346 0.660
0.820 0.143 0.553
0.820 0.403 0.057
0.829 0.198 0.445
0.853 0.332 0.951
0.928 0.899 0.486
0.930 0.543 0.271
0.939 0.537 0.992
0.941 0.912 0.772
0.973 0.860 0.178
0.977 0.532 0.669
0.983 0.869 0.893
0.985 0.516 0.390
```